[1]
VASP calculation (PBE) on Nd2AgRu after structural relaxation.

Structure (extended XYZ):
```
4
Lattice="0.000 3.624 3.624 3.624 0.000 3.624 3.624 3.624 0.000" Properties=species:S:1:pos:R:3 pbc="T T T"
Ag 3.624 3.624 3.624
Ru 0.000 0.000 0.000
Nd 1.812 1.812 1.812
Nd 5.435 5.435 5.435
```

Values from the calculation:
As for the energy of formation from the pure elements: -0.83 eV per formula unit. The value obtained for the theoretical density is 8.7 g cm⁻³. Its crystal system is cubic.

***

[2]
VASP calculation (PBE) on Na4TaGaSi3O12 after structural relaxation.

Structure (extended XYZ):
```
126
Lattice="-4.051 0.933 -8.017 -4.958 -1.182 7.455 -0.792 21.965 2.956" Properties=species:S:1:pos:R:3 pbc="T T T"
Na -4.784 3.076 2.776
Si -6.796 19.353 7.199
O -3.718 21.062 5.008
Na -6.399 16.925 -3.019
O -4.527 9.793 5.341
O -3.699 1.014 -4.299
O -6.808 16.111 4.220
O -6.299 1.169 2.589
O -3.386 0.641 -1.441
O -2.321 17.785 2.006
O -3.139 11.777 -0.930
Na -4.614 7.442 -1.889
Si -7.605 8.648 3.337
O -6.242 9.495 -1.923
Na -7.881 12.246 3.618
O -1.907 8.968 1.277
O -5.604 3.233 6.435
O -8.480 17.754 0.587
Si -6.230 12.736 1.057
Ga -0.674 18.692 2.516
Na -4.071 11.984 6.588
O -3.551 12.238 4.263
O -6.525 16.517 -0.598
Na -6.285 16.284 1.774
O -5.677 12.394 2.537
Na -2.832 6.030 -4.299
Ta -5.130 21.750 0.037
Na -6.548 8.967 0.612
Na -2.156 16.766 -0.700
O -8.570 14.807 2.827
O -5.111 5.777 -3.606
Na -3.398 12.647 1.843
O -6.037 0.703 -2.613
Na -3.731 20.715 -2.741
Si -6.593 19.966 2.698
O -7.544 6.647 0.178
O -8.169 19.788 2.389
O -6.713 9.986 3.319
Na -5.718 9.667 -4.368
O -1.290 4.015 1.779
O -6.124 20.742 6.744
O -6.448 21.126 3.803
Na -1.930 1.417 2.486
Na -5.180 14.059 4.254
O -5.982 20.633 -1.430
O -6.146 3.369 -2.824
Si -1.409 5.800 -1.571
Na -3.489 20.045 2.306
O -3.281 5.215 2.937
Na -0.392 10.875 1.464
O -5.765 20.276 1.282
Si -6.026 13.349 -3.445
O -1.721 19.816 3.906
Ta -4.904 6.402 3.223
O -3.507 20.564 -0.249
Si -3.275 1.825 -0.262
O -3.867 1.086 3.856
Si -8.135 16.607 -0.487
O -6.113 12.017 5.218
Ga -5.066 10.893 3.828
O -2.985 5.622 -1.880
O -5.830 18.581 3.249
Ta -4.734 10.768 -1.441
O -5.539 4.928 4.468
Ta -0.512 14.201 1.911
O -4.093 16.434 0.669
Si -3.213 16.447 2.025
O -5.908 11.564 -0.096
Ta -5.300 17.384 4.702
Si -3.501 17.173 -3.448
O -7.531 3.978 0.383
Ga -0.278 7.709 1.038
O -3.952 7.257 4.702
O -4.213 16.796 -2.047
O -7.899 12.765 1.063
Si -5.663 6.120 -5.086
O -1.365 13.084 0.444
O -3.296 3.588 -3.682
O -8.485 8.636 1.981
Na -8.016 20.196 -0.031
O -3.152 14.446 -1.134
O -5.756 5.285 1.756
O -3.987 1.447 1.139
Na -1.781 9.375 -1.145
O -2.212 15.118 2.217
O -4.992 7.509 -5.541
O -6.604 7.320 3.529
Ga -4.896 15.259 -0.837
O -1.624 1.945 -0.048
O -3.612 2.710 -6.265
Ta -0.116 3.218 0.433
O -5.558 14.125 0.602
O -4.186 18.524 -3.988
O -4.745 15.943 6.021
O -6.474 18.181 6.047
Si -2.196 13.159 -1.001
O -5.547 5.401 -0.924
O -5.263 11.964 -2.894
O -3.960 3.176 -0.801
O -3.862 10.204 2.461
Na -6.059 0.935 4.961
Na -0.789 21.857 2.942
O -4.832 14.247 7.986
Si -6.588 5.360 0.311
O -5.199 13.660 -4.861
O -1.263 6.960 -0.466
Na -3.505 5.367 0.445
Na -6.173 1.576 0.167
O -8.038 1.906 -1.475
Ga -4.670 -0.089 2.350
O -4.178 9.327 -0.122
Na -7.314 5.629 -2.525
Si -3.517 9.058 1.387
O -5.881 14.510 -2.340
Si -3.841 8.441 5.881
Si -7.038 2.031 -2.806
O -3.705 18.393 5.213
O -4.212 16.321 3.356
Si -2.951 2.441 -4.756
O -4.265 7.631 1.843
O -6.244 19.011 8.679
O -3.646 9.705 -2.787
O -4.553 8.064 7.282
Si -2.763 19.775 5.142
Ga -4.500 4.277 -2.315
Na -5.010 18.424 -0.411
```

Values from the calculation:
As for the energy of formation from the pure elements: -59.49 eV per formula unit. The value obtained for the theoretical density is 3.9 g cm⁻³.

***

[3]
VASP calculation (PBE) on MnPS3 after structural relaxation.

Structure (extended XYZ):
```
10
Lattice="6.003 0.173 -0.866 -2.290 -2.949 4.782 -1.605 -5.011 -5.126" Properties=species:S:1:pos:R:3 pbc="T T T"
S 1.867 -1.297 -1.159
Mn 0.470 -1.910 2.903
S 0.241 -6.490 -0.050
P -0.059 -0.925 -0.598
S 2.942 -5.473 -1.890
S 2.415 -3.223 1.764
S -0.834 -2.313 0.681
P 2.167 -6.862 -0.611
S -0.307 -4.564 -2.974
Mn 3.243 -0.865 1.013
```

Values from the calculation:
As for the energy of formation from the pure elements: -3.54 eV per formula unit. The value obtained for the theoretical density is 2.7 g cm⁻³. Its crystal system is monoclinic.